The following is a DFT calculation (r2SCAN) of a relaxed Rb3AlF6 crystal.

Output
**V**: 17.3 A^3/atom
**ΔH_f (0 K)**: -33.92 eV per formula unit

Cell: 6.254 6.254 6.254 Å, 60.00 60.00 60.00°
Fractional coordinates of all 10 atoms:
F 0.795 0.205 0.205
F 0.795 0.205 0.795
F 0.205 0.795 0.205
F 0.205 0.795 0.795
F 0.205 0.205 0.795
F 0.795 0.795 0.205
Rb 0.750 0.750 0.750
Rb 0.500 0.500 0.500
Rb 0.250 0.250 0.250
Al 0.000 0.000 0.000